Material: EuAs
Method: DFT, GGA-PBE
State: relaxed

POSCAR file:
```
EuAs
1.0
-4.336 1.073 1.177
3.101 -1.001 3.274
1.576 5.996 0.341
Eu As
2 2
direct
0.333 0.667 0.500
0.667 0.333 0.000
0.000 0.000 0.754
0.000 0.000 0.246
```

Properties
volume	114.7	Å³ per cell
energy relative to the elements	-112.2	kJ/mol of atoms

***

Material: EuAs
Method: DFT, GGA-PBE
State: relaxed

POSCAR file:
```
EuAs
1.0
4.000 -6.928 0.000
4.000 6.928 0.000
0.000 0.000 6.209
Eu As
6 6
direct
0.342 0.342 0.500
0.658 0.000 0.500
0.000 0.658 0.500
0.675 0.675 0.000
0.325 0.000 0.000
0.000 0.325 0.000
0.000 0.000 0.728
0.000 0.000 0.272
0.667 0.333 0.767
0.667 0.333 0.233
0.333 0.667 0.767
0.333 0.667 0.233
```

Properties
volume	344.2	Å³ per cell
energy relative to the elements	-112.4	kJ/mol of atoms

***

Material: Eu2As3
Method: DFT, GGA-PBE
State: relaxed

POSCAR file:
```
Eu2As3
1.0
5.997 0.000 0.000
0.000 12.368 0.000
0.000 12.204 14.203
Eu As
16 24
direct
0.966 0.000 0.250
0.034 0.000 0.750
0.754 0.625 0.000
0.246 0.375 0.000
0.754 0.375 0.500
0.246 0.625 0.500
0.545 0.761 0.249
0.455 0.239 0.751
0.545 0.239 0.251
0.455 0.761 0.749
0.916 0.500 0.250
0.084 0.500 0.750
0.740 0.866 0.509
0.260 0.134 0.491
0.740 0.134 0.991
0.260 0.866 0.009
0.956 0.840 0.671
0.044 0.160 0.329
0.956 0.160 0.829
0.044 0.840 0.171
0.735 0.714 0.421
0.265 0.286 0.579
0.735 0.286 0.079
0.265 0.714 0.921
0.773 0.811 0.078
0.227 0.189 0.922
0.773 0.189 0.422
0.227 0.811 0.578
0.459 0.923 0.341
0.541 0.077 0.659
0.459 0.077 0.159
0.541 0.923 0.841
0.396 0.545 0.167
0.604 0.455 0.833
0.396 0.455 0.333
0.604 0.545 0.667
0.904 0.392 0.656
0.096 0.608 0.344
0.904 0.608 0.844
0.096 0.392 0.156
```

Properties
volume	1053.5	Å³ per cell
energy relative to the elements	-92.6	kJ/mol of atoms

***

Material: Eu5As3
Method: DFT, GGA-PBE
State: relaxed

POSCAR file:
```
Eu5As3
1.0
-4.320 0.917 7.704
-2.471 -6.296 -5.754
4.358 -4.425 2.970
Eu As
10 6
direct
0.667 0.333 0.000
0.333 0.667 0.000
0.333 0.667 0.500
0.667 0.333 0.500
0.745 0.745 0.750
0.255 0.000 0.750
0.000 0.255 0.750
0.255 0.255 0.250
0.745 0.000 0.250
0.000 0.745 0.250
0.390 0.390 0.750
0.610 0.000 0.750
0.000 0.610 0.750
0.610 0.610 0.250
0.390 0.000 0.250
0.000 0.390 0.250
```

Properties
volume	470.1	Å³ per cell
energy relative to the elements	-108.0	kJ/mol of atoms

***

Material: Eu4As3
Method: DFT, GGA-PBE
State: relaxed

POSCAR file:
```
Eu4As3
1.0
-2.494 -7.150 -2.440
4.376 -0.825 6.592
-6.291 4.615 1.554
Eu As
8 6
direct
0.500 0.000 0.364
0.636 0.636 0.636
0.000 0.364 0.500
0.364 0.500 0.000
0.000 0.864 0.500
0.864 0.500 0.000
0.500 0.000 0.864
0.136 0.136 0.136
0.875 0.125 0.750
0.375 0.250 0.625
0.125 0.750 0.875
0.750 0.875 0.125
0.250 0.625 0.375
0.625 0.375 0.250
```

Properties
volume	387.6	Å³ per cell
energy relative to the elements	-120.6	kJ/mol of atoms

***

Material: EuAs
Method: DFT, GGA-PBE
State: relaxed

POSCAR file:
```
EuAs
1.0
-1.807 2.323 -5.518
7.446 2.466 -1.400
5.157 -4.807 -3.713
Eu As
6 6
direct
0.000 0.685 0.315
0.000 0.315 0.000
0.000 0.000 0.685
0.500 0.353 0.647
0.500 0.647 0.000
0.500 0.000 0.353
0.290 0.000 0.000
0.710 0.000 0.000
0.222 0.667 0.667
0.778 0.667 0.667
0.222 0.333 0.333
0.778 0.333 0.333
```

Properties
volume	343.9	Å³ per cell
energy relative to the elements	-112.3	kJ/mol of atoms

***

Material: Na4Eu2GeAs4
Method: DFT, GGA-PBE
State: relaxed

POSCAR file:
```
Na4Eu2GeAs4
1.0
-1.388 -9.169 2.549
3.523 6.226 6.428
-6.815 1.610 2.240
Na Eu Ge As
8 4 2 8
direct
0.477 0.953 0.380
0.953 0.477 0.880
0.857 0.712 0.199
0.289 0.141 0.205
0.853 0.142 0.203
0.141 0.289 0.705
0.712 0.857 0.699
0.142 0.853 0.703
0.046 0.524 0.380
0.479 0.526 0.380
0.524 0.046 0.880
0.526 0.479 0.880
0.665 0.330 0.502
0.330 0.665 0.002
0.665 0.336 0.157
0.336 0.665 0.657
0.194 0.382 0.108
0.618 0.808 0.101
0.193 0.810 0.104
0.808 0.618 0.601
0.382 0.194 0.608
0.810 0.193 0.604
```

Properties
volume	591.6	Å³ per cell
energy relative to the elements	-63.1	kJ/mol of atoms

***

Material: EuMg2As2
Method: DFT, GGA-PBE
State: relaxed

POSCAR file:
```
EuMg2As2
1.0
-3.031 -1.332 -2.927
0.854 -2.459 3.571
-5.174 3.602 3.717
Eu Mg As
1 2 2
direct
0.000 0.000 0.000
0.333 0.667 0.631
0.667 0.333 0.369
0.333 0.667 0.257
0.667 0.333 0.743
```

Properties
volume	123.8	Å³ per cell
energy relative to the elements	-92.8	kJ/mol of atoms

***

Material: Na4Eu2SiAs4
Method: DFT, GGA-PBE
State: relaxed

POSCAR file:
```
Na4Eu2SiAs4
1.0
8.251 4.805 0.000
-8.251 4.805 0.000
0.000 0.119 7.298
Na Eu Si As
8 4 2 8
direct
0.476 0.951 0.382
0.951 0.476 0.882
0.861 0.718 0.191
0.285 0.137 0.202
0.853 0.140 0.198
0.137 0.285 0.702
0.718 0.861 0.691
0.140 0.853 0.698
0.047 0.526 0.380
0.479 0.528 0.380
0.526 0.047 0.880
0.528 0.479 0.880
0.665 0.330 0.500
0.330 0.665 0.000
0.663 0.336 0.165
0.336 0.663 0.665
0.196 0.387 0.106
0.612 0.805 0.095
0.196 0.809 0.100
0.805 0.612 0.595
0.387 0.196 0.606
0.809 0.196 0.600
```

Properties
volume	578.7	Å³ per cell
energy relative to the elements	-65.7	kJ/mol of atoms

***

Material: Na4Eu2SnAs4
Method: DFT, GGA-PBE
State: relaxed

POSCAR file:
```
Na4Eu2SnAs4
1.0
-8.253 1.405 -5.091
2.326 -8.980 3.155
-3.749 1.156 6.266
Na Eu Sn As
8 4 2 8
direct
0.054 0.526 0.621
0.526 0.054 0.121
0.288 0.142 0.804
0.860 0.708 0.791
0.859 0.150 0.796
0.708 0.860 0.291
0.142 0.288 0.304
0.150 0.859 0.296
0.472 0.948 0.621
0.470 0.521 0.624
0.948 0.472 0.121
0.521 0.470 0.124
0.672 0.336 0.498
0.336 0.672 0.998
0.664 0.336 0.859
0.336 0.664 0.359
0.629 0.810 0.879
0.189 0.373 0.900
0.183 0.812 0.891
0.373 0.189 0.400
0.810 0.629 0.379
0.812 0.183 0.391
```

Properties
volume	615.1	Å³ per cell
energy relative to the elements	-63.5	kJ/mol of atoms

***

Material: EuNi2As2
Method: DFT, GGA-PBE
State: relaxed

POSCAR file:
```
EuNi2As2
1.0
1.970 -0.328 5.503
1.107 4.869 3.056
-4.273 -2.263 -3.300
Eu Ni As
1 2 2
direct
0.000 0.000 0.000
0.750 0.250 0.500
0.250 0.750 0.500
0.633 0.633 0.000
0.367 0.367 0.000
```

Properties
volume	85.7	Å³ per cell
energy relative to the elements	-70.0	kJ/mol of atoms

***

Material: EuNi5As3
Method: DFT, GGA-PBE
State: relaxed

POSCAR file:
```
EuNi5As3
1.0
1.869 -6.100 0.000
1.869 6.100 0.000
0.000 0.000 11.850
Eu Ni As
2 10 6
direct
0.163 0.837 0.250
0.837 0.163 0.750
0.194 0.806 0.933
0.806 0.194 0.433
0.000 0.000 0.000
0.000 0.000 0.500
0.550 0.450 0.645
0.450 0.550 0.355
0.450 0.550 0.145
0.194 0.806 0.567
0.806 0.194 0.067
0.550 0.450 0.855
0.621 0.379 0.456
0.116 0.884 0.750
0.621 0.379 0.044
0.379 0.621 0.956
0.884 0.116 0.250
0.379 0.621 0.544
```

Properties
volume	270.3	Å³ per cell
energy relative to the elements	-52.3	kJ/mol of atoms

***

Material: Eu4As2O
Method: DFT, GGA-PBE
State: relaxed

POSCAR file:
```
Eu4As2O
1.0
5.586 -0.561 6.619
-0.171 -3.829 7.787
-1.397 -0.594 -8.545
Eu As O
4 2 1
direct
0.000 0.500 0.500
0.500 0.000 0.500
0.674 0.674 0.000
0.326 0.326 0.000
0.865 0.865 0.000
0.135 0.135 0.000
0.500 0.500 0.000
```

Properties
volume	180.8	Å³ per cell
energy relative to the elements	-167.8	kJ/mol of atoms
MP2020-corrected energy	-67.47	eV per cell

***

Material: Eu2As2O5
Method: DFT, GGA-PBE
State: relaxed

POSCAR file:
```
Eu2As2O5
1.0
4.182 0.000 0.000
0.000 4.182 0.000
0.000 0.000 7.264
Eu As O
2 2 5
direct
0.000 0.000 0.000
0.000 0.000 0.500
0.500 0.500 0.234
0.500 0.500 0.766
0.500 0.000 0.233
0.500 0.000 0.767
0.500 0.500 0.500
0.000 0.500 0.233
0.000 0.500 0.767
```

Properties
volume	127.0	Å³ per cell
energy relative to the elements	-213.5	kJ/mol of atoms
MP2020-corrected energy	-74.49	eV per cell

***

Material: EuAsPd
Method: DFT, GGA-PBE
State: relaxed

POSCAR file:
```
EuAsPd
1.0
-3.232 2.614 1.192
1.353 -3.122 2.669
5.592 5.352 3.427
Eu As Pd
2 2 2
direct
0.000 0.000 0.500
0.000 0.000 0.000
0.333 0.667 0.250
0.667 0.333 0.750
0.333 0.667 0.750
0.667 0.333 0.250
```

Properties
volume	137.1	Å³ per cell
energy relative to the elements	-99.7	kJ/mol of atoms

***

Material: Eu2As7Pd12
Method: DFT, GGA-PBE
State: relaxed

POSCAR file:
```
Eu2As7Pd12
1.0
5.095 -8.824 0.000
5.095 8.824 0.000
0.000 0.000 4.167
Eu As Pd
2 7 12
direct
0.667 0.333 0.249
0.000 0.000 0.750
0.333 0.667 0.474
0.742 0.784 0.251
0.041 0.258 0.251
0.216 0.959 0.251
0.924 0.551 0.746
0.627 0.076 0.746
0.449 0.373 0.746
0.770 0.047 0.250
0.277 0.230 0.250
0.953 0.723 0.250
0.899 0.286 0.748
0.388 0.101 0.748
0.714 0.612 0.748
0.479 0.556 0.231
0.077 0.521 0.231
0.444 0.923 0.231
0.191 0.773 0.767
0.582 0.809 0.767
0.227 0.418 0.767
```

Properties
volume	374.7	Å³ per cell
energy relative to the elements	-58.4	kJ/mol of atoms

***

Material: Eu2As3Pt3
Method: DFT, GGA-PBE
State: relaxed

POSCAR file:
```
Eu2As3Pt3
1.0
-0.161 6.002 -2.634
-5.902 -1.278 -2.553
-8.781 7.110 16.741
Eu As Pt
2 3 3
direct
0.500 0.500 0.755
0.500 0.500 0.245
0.500 0.500 0.000
0.500 0.500 0.389
0.500 0.500 0.611
0.500 0.500 0.115
0.500 0.500 0.885
0.500 0.500 0.500
```

Properties
volume	868.2	Å³ per cell
energy relative to the elements	102.5	kJ/mol of atoms

***

Material: EuAsPt
Method: DFT, GGA-PBE
State: relaxed

POSCAR file:
```
EuAsPt
1.0
-2.124 2.124 7.566
2.124 -2.124 7.566
2.124 2.124 -7.566
Eu As Pt
2 2 2
direct
0.750 0.750 0.000
0.500 0.000 0.500
0.331 0.331 0.000
0.081 0.581 0.500
0.916 0.416 0.500
0.166 0.166 0.000
```

Properties
volume	136.5	Å³ per cell
energy relative to the elements	-105.7	kJ/mol of atoms

***

Material: EuAs2Rh2
Method: DFT, GGA-PBE
State: relaxed

POSCAR file:
```
EuAs2Rh2
1.0
-2.052 2.052 5.766
2.052 -2.052 5.766
2.052 2.052 -5.766
Eu As Rh
1 2 2
direct
0.000 0.000 0.000
0.629 0.629 0.000
0.371 0.371 0.000
0.750 0.250 0.500
0.250 0.750 0.500
```

Properties
volume	97.1	Å³ per cell
energy relative to the elements	-79.1	kJ/mol of atoms

***

Material: EuAs2Ru2
Method: DFT, GGA-PBE
State: relaxed

POSCAR file:
```
EuAs2Ru2
1.0
-2.108 2.108 5.381
2.108 -2.108 5.381
2.108 2.108 -5.381
Eu As Ru
1 2 2
direct
0.000 0.000 0.000
0.636 0.636 0.000
0.364 0.364 0.000
0.750 0.250 0.500
0.250 0.750 0.500
```

Properties
volume	95.6	Å³ per cell
energy relative to the elements	-68.1	kJ/mol of atoms